The following is a DFT calculation (PBE) of an optimized crystal structure of Cu4SiGe3O12.

The total magnetic moment is 4.01 μB per cell. The value obtained for the volume is 249.43 Å³/f.u. The calculation puts the raw total energy at -121.8 eV/cell.

Cell lengths 2.944, 17.458, 4.853 Å; angles 90.00, 90.00, 90.00 degrees
Fractional positions:
Cu: 0.000 0.123 0.000
Cu: 0.000 0.375 0.011
Cu: 0.000 0.625 0.011
Cu: 0.000 0.877 0.000
Si: 0.500 0.000 0.607
Ge: 0.500 0.248 0.424
Ge: 0.500 0.500 0.593
Ge: 0.500 0.752 0.424
O: 0.000 0.000 0.436
O: 0.000 0.249 0.636
O: 0.000 0.500 0.382
O: 0.000 0.751 0.636
O: 0.500 0.078 0.792
O: 0.500 0.166 0.214
O: 0.500 0.333 0.227
O: 0.500 0.416 0.796
O: 0.500 0.584 0.796
O: 0.500 0.667 0.227
O: 0.500 0.834 0.214
O: 0.500 0.922 0.792

The following is a DFT calculation (PBE) of an optimized crystal structure of Tb2CuGe2O8.

The total magnetic moment is 2.00 μB per cell. The value obtained for the volume is 160.58 Å³/f.u. The calculation puts the raw total energy at -183.9 eV/cell.

Cell lengths 8.973, 8.973, 5.155 Å; angles 106.32, 106.32, 114.89 degrees
Fractional positions:
Tb: 0.120 0.880 0.000
Tb: 0.383 0.624 0.494
Tb: 0.624 0.383 0.494
Tb: 0.880 0.120 0.000
Cu: 0.507 0.921 0.195
Cu: 0.921 0.507 0.195
Ge: 0.048 0.469 0.735
Ge: 0.247 0.247 0.793
Ge: 0.469 0.048 0.735
Ge: 0.743 0.743 0.191
O: 0.073 0.073 0.827
O: 0.078 0.419 0.059
O: 0.154 0.338 0.571
O: 0.207 0.675 0.741
O: 0.328 0.846 0.367
O: 0.338 0.154 0.571
O: 0.416 0.416 0.170
O: 0.419 0.078 0.059
O: 0.577 0.577 0.805
O: 0.583 0.926 0.887
O: 0.645 0.832 0.399
O: 0.675 0.207 0.741
O: 0.832 0.645 0.399
O: 0.846 0.328 0.367
O: 0.917 0.917 0.152
O: 0.926 0.583 0.887

ΔE_f? In order: -1.7490 -2.7116 eV per atom.